Record 1
Density functional theory data (PBE) for Cs3LiCl4 after structural relaxation.

Calculated values
Maximum piezoelectric response (C/m²): 0.3
Space-group type: No. 38
Total DFT energy (no corrections) (eV/atom): -3.361
Total magnetic moment (μB/cell): 0.000
Energy of formation (kcal/mol of atoms): -50.029

```
8
Lattice="10.1337 0.0000 0.0000 0.0000 2.1799 6.5372 0.0000 -2.1799 6.5372" Properties=species:S:1:pos:R:3 pbc="T T T"
Cs 0.0000 0.0000 0.0000
Cs 2.7330 0.0000 2.9952
Cs 7.4006 0.0000 2.9952
Li 5.0668 0.0000 5.8722
Cl 0.0000 0.0000 9.6285
Cl 2.8408 0.0000 6.7230
Cl 5.0668 0.0000 10.9730
Cl 7.2929 0.0000 6.7230
```

***

Record 2
Density functional theory data (PBE) for Na2Ta6Ga2Si7S5O48 after structural relaxation.

Calculated values
Space-group type: No. 1
Total DFT energy (no corrections) (eV/atom): -7.643
Total magnetic moment (μB/cell): 0.000
Energy of formation (kcal/mol of atoms): -63.253

```
210
Lattice="8.8265 0.0000 0.0000 0.0084 15.2589 0.0000 0.0197 0.0162 22.7256" Properties=species:S:1:pos:R:3 pbc="T T T"
Na 0.0000 0.0000 0.0000
Na 8.8452 4.9701 19.1557
Na 4.4298 7.6240 11.4482
Na 4.4789 12.6072 7.9354
Na 4.5579 12.7648 19.0665
Na 8.7567 5.1033 7.8553
Ta 0.0296 15.2334 14.7440
Ta 0.0354 10.2077 12.0969
Ta 0.0435 10.3233 18.4948
Ta 0.0312 10.2575 0.6472
Ta 0.1063 15.2509 8.3511
Ta 0.1139 4.9934 4.5070
Ta 0.1370 5.0829 10.9558
Ta 0.1758 5.0748 15.8243
Ta 4.3747 12.6324 4.5217
Ta 4.3931 12.6261 15.8337
Ta 4.4297 7.6310 19.6640
Ta 4.4338 12.6599 22.2728
Ta 4.4547 2.7011 7.1683
Ta 4.4597 7.5815 3.3874
Ta 4.4794 2.6710 12.0300
Ta 4.4765 2.6464 0.6582
Ta 4.6308 2.5672 18.5788
Ta 8.7036 10.2118 7.2605
Ga 0.0552 5.0434 22.4495
Ga 0.1671 15.2094 3.7307
Ga 4.0957 7.5294 14.9297
Ga 4.4664 12.6386 11.1035
Ga 4.7480 7.5964 8.2843
Ga 8.5796 15.2349 19.6037
Si 1.2454 12.4930 20.9258
Si 1.2589 13.0752 5.8368
Si 1.3085 2.8887 13.3918
Si 1.3099 2.0890 5.8364
Si 1.3591 7.2847 13.4096
Si 2.0086 12.7559 13.2945
Si 2.4823 5.0929 1.9501
Si 3.1778 10.5134 2.0500
Si 3.2063 9.7438 17.1995
Si 3.2268 5.4470 17.2158
Si 3.2468 4.8654 9.5744
Si 5.6429 9.7037 5.9104
Si 5.7422 0.4036 21.0341
Si 5.7374 5.5184 5.8490
Si 5.8840 4.7581 21.0193
Si 6.3857 10.1296 20.9970
Si 6.9614 2.5311 9.6418
Si 7.4638 12.3637 9.7117
Si 7.5795 13.1611 17.2083
Si 7.5813 8.0169 9.6680
Si 7.7219 2.1400 17.2662
S 1.2734 7.9820 20.9994
S 1.9305 2.5646 21.0104
S 1.9331 7.6352 5.8517
S 2.5764 15.2673 17.2235
S 2.5685 10.1773 9.6394
S 3.1510 14.9017 2.0481
S 3.2436 0.3482 9.6363
S 5.7063 14.8950 13.3825
S 5.7061 10.4768 13.4261
S 6.3480 5.1559 13.4223
S 6.3634 15.2558 5.8209
S 6.9584 7.6308 17.1996
S 6.9986 12.7930 2.0538
S 7.6163 7.2568 2.0231
S 7.6201 2.8112 2.0676
O 0.5742 1.4566 7.1372
O 0.5792 13.6106 4.4803
O 0.6117 3.5896 12.1140
O 0.6297 11.6739 22.2603
O 0.6669 13.9694 20.8205
O 0.6623 1.4425 13.6733
O 0.6738 6.5839 14.7377
O 0.6681 8.7401 13.1757
O 0.6863 3.6470 5.6901
O 0.6982 6.6434 21.1325
O 0.7069 8.6200 19.8120
O 0.7654 11.5719 6.1734
O 0.9835 6.4417 5.6002
O 0.9920 6.3110 12.1392
O 1.0228 11.4927 19.6577
O 1.0282 8.8154 22.2289
O 1.0202 14.0494 7.1183
O 1.0542 14.0282 13.6524
O 1.0498 1.3453 4.4424
O 1.0651 3.8426 14.7180
O 1.0725 11.4425 13.1361
O 1.0808 8.8268 5.9851
O 1.0931 3.7843 21.1313
O 1.1338 1.3510 20.9763
O 1.5449 4.8731 3.2907
O 1.5484 5.3377 0.6776
O 1.5698 5.3524 17.0897
O 1.5773 10.3479 1.7915
O 1.6081 9.8883 17.4955
O 1.6125 4.8625 9.7491
O 1.6864 15.0057 2.1510
O 1.7101 10.3768 8.4351
O 1.7165 10.0571 10.8621
O 1.7334 0.2510 9.5228
O 1.7607 0.1891 16.0012
O 1.8155 14.9359 18.4165
O 2.6898 7.2998 7.0324
O 2.7427 7.8008 4.6183
O 2.7645 7.8910 20.8886
O 2.7784 2.7498 19.8152
O 2.8197 2.4443 22.2398
O 2.8893 12.5323 21.1849
O 2.8988 2.2349 6.1271
O 2.9141 2.7064 13.1318
O 2.9365 13.0031 5.6665
O 2.9466 12.5305 14.6481
O 2.9588 13.0126 12.0357
O 2.9749 7.3932 13.4650
O 3.3726 8.9748 9.5578
O 3.4131 11.4079 9.7371
O 3.4215 1.2015 17.3822
O 3.4143 3.7532 1.7980
O 3.4541 14.0476 0.8662
O 3.4591 11.4961 3.3530
O 3.4614 6.3549 2.2821
O 3.4784 6.4128 18.5185
O 3.4795 1.1678 10.8527
O 3.4860 8.9804 15.8386
O 3.5008 3.8707 8.2891
O 3.5249 14.0844 16.9826
O 3.7560 3.9451 17.5655
O 3.7650 14.2927 3.2665
O 3.7585 0.9762 1.8748
O 3.7826 0.9850 8.4332
O 3.8147 11.3065 17.0669
O 3.8115 14.2637 9.7405
O 3.8379 6.3343 9.4544
O 3.8357 9.0754 2.2990
O 3.8665 11.2880 0.7989
O 3.8779 4.0439 10.8938
O 3.9056 9.1289 18.5404
O 3.9450 5.9905 15.8958
O 4.8964 9.1623 7.2053
O 5.0155 1.0298 19.7213
O 5.0584 6.1440 4.5080
O 5.0714 14.1774 21.2777
O 5.0793 0.9783 13.2379
O 5.0979 11.2867 5.6078
O 5.1155 11.0873 12.2295
O 5.1165 3.9934 5.9928
O 5.1328 14.2669 14.5937
O 5.1535 6.1788 20.7300
O 5.1552 4.0671 22.3410
O 5.1844 9.1387 13.6084
O 5.3404 1.3073 22.3443
O 5.3513 8.8541 4.5545
O 5.4198 8.8644 20.7923
O 5.4465 1.1343 6.0433
O 5.4532 11.3511 14.6410
O 5.4696 11.4937 21.1824
O 5.4719 3.9041 13.2654
O 5.4958 6.3271 13.5488
O 5.4939 14.0378 5.6240
O 5.5461 14.0839 12.1878
O 5.5554 3.7749 19.7366
O 5.5900 6.3436 7.1893
O 5.8561 12.5420 9.8602
O 5.9769 12.9476 16.9110
O 5.9796 7.9605 9.6313
O 5.9908 2.6837 8.3377
O 6.0327 2.2978 10.9693
O 6.0699 2.2760 17.4324
O 6.1183 7.4112 18.4197
O 6.1159 2.7411 1.9357
O 6.1412 7.4444 2.2165
O 6.1573 12.5853 3.2603
O 6.1566 12.9460 0.8503
O 6.1899 7.8820 15.9990
O 7.1306 0.2493 4.5978
O 7.1653 4.8922 14.6272
O 7.1643 5.2804 12.2092
O 7.1824 14.9738 7.0102
O 7.1831 15.0809 13.5798
O 7.2004 10.4532 13.3217
O 7.2668 9.9150 6.0657
O 7.2938 9.9490 22.3456
O 7.3382 0.3235 20.9914
O 7.3367 10.3409 19.7093
O 7.3400 5.2981 5.5282
O 7.4810 4.9027 21.2288
O 7.7298 13.9519 18.5794
O 7.7698 11.4187 8.3669
O 7.7750 6.4422 0.8233
O 7.8065 6.4020 17.0943
O 7.8327 11.5374 1.9026
O 7.8492 3.6728 3.2794
O 7.8558 3.8694 9.8120
O 7.8748 8.7784 17.4641
O 7.8681 13.9631 2.1732
O 7.8980 1.2275 9.3893
O 7.9853 1.2383 15.9368
O 7.9836 8.9535 10.9391
O 8.1559 1.4579 2.2432
O 8.1829 13.7960 9.3445
O 8.1864 11.6849 10.9882
O 8.1958 3.4166 0.8669
O 8.1963 6.6278 3.2271
O 8.2135 11.6344 17.3563
O 8.2175 3.6941 16.9917
O 8.2328 8.5997 1.8707
O 8.2498 6.5263 9.8339
O 8.2693 13.7864 15.8844
O 8.2937 8.6677 8.3328
O 8.4287 1.5558 18.5865
```